1.
Computed, not measured: a geometry-optimized KRb2LaCl6 structure at the PBE level of DFT.

Summary:
M_tot	0.000	μB/f.u.
space group	Fm-3m (225)
formation energy	-2474	meV per atom
density	2.42	g cm⁻³

Lattice parameters (Å, degrees): 8.166 8.166 8.166 60.00 60.00 60.00
Element x y z (fractional)
Cl  0.760  0.240  0.240
Rb  0.250  0.250  0.250
Cl  0.240  0.760  0.760
Cl  0.760  0.760  0.240
Cl  0.240  0.240  0.760
Cl  0.760  0.240  0.760
K  0.500  0.500  0.500
La  0.000  0.000  0.000
Cl  0.240  0.760  0.240
Rb  0.750  0.750  0.750

---

2.
Computed, not measured: a geometry-optimized Na3Zr2Si2PO12 structure at the PBE level of DFT.

Summary:
M_tot	0.000	μB/f.u.
space group	P1 (1)
formation energy	-3143	meV per atom
density	3.11	g cm⁻³
E above lowest polymorph	6.1	meV per atom

Lattice parameters (Å, degrees): 9.168 9.177 16.373 90.59 105.67 119.82
Element x y z (fractional)
O  0.002  0.412  0.296
Zr  0.145  0.067  0.717
Na  0.519  0.258  0.245
Na  0.238  0.250  0.348
P  0.955  0.331  0.374
O  0.479  0.683  0.442
O  0.271  0.850  0.466
O  0.287  0.223  0.642
O  0.411  0.095  0.384
Si  0.749  0.588  0.119
O  0.935  0.591  0.147
Na  0.614  0.484  0.880
Zr  0.363  0.182  0.031
Zr  0.654  0.830  0.975
O  0.079  0.423  0.857
Si  0.468  0.882  0.132
O  0.411  0.592  0.889
O  0.240  0.292  0.809
O  0.878  0.546  0.541
Na  0.954  0.295  0.970
O  0.717  0.283  0.863
Zr  0.357  0.680  0.529
Zr  0.843  0.422  0.776
O  0.933  0.088  0.649
O  0.516  0.811  0.056
P  0.960  0.831  0.877
O  0.264  0.343  0.967
Zr  0.141  0.563  0.215
O  0.424  0.032  0.107
Si  0.047  0.668  0.628
O  0.778  0.804  0.876
O  0.884  0.044  0.041
O  0.751  0.712  0.193
O  0.429  0.533  0.604
O  0.578  0.898  0.611
Na  0.956  0.796  0.469
O  0.015  0.092  0.215
Na  0.672  0.762  0.718
O  0.106  0.448  0.458
Zr  0.840  0.922  0.275
O  0.774  0.306  0.375
O  0.942  0.156  0.370
Na  0.616  0.982  0.379
Si  0.749  0.088  0.618
O  0.734  0.162  0.527
O  0.732  0.660  0.028
O  0.286  0.722  0.142
Na  0.392  0.521  0.126
O  0.481  0.190  0.943
O  0.070  0.858  0.628
O  0.947  0.655  0.871
O  0.232  0.182  0.122
O  0.241  0.793  0.309
O  0.558  0.959  0.895
Si  0.468  0.381  0.630
O  0.072  0.357  0.126
P  0.249  0.913  0.378
Zr  0.654  0.329  0.475
Na  0.394  0.014  0.629
O  0.575  0.401  0.113
O  0.112  0.950  0.958
O  0.367  0.046  0.779
Na  0.095  0.343  0.592
O  0.014  0.592  0.714
O  0.633  0.459  0.722
Si  0.532  0.118  0.869
Si  0.531  0.616  0.367
O  0.718  0.781  0.364
Na  0.251  0.748  0.842
O  0.080  0.925  0.358
O  0.749  0.212  0.692
O  0.224  0.680  0.616
O  0.515  0.307  0.556
O  0.996  0.907  0.795
O  0.629  0.950  0.223
O  0.555  0.452  0.390
O  0.366  0.544  0.278
Si  0.050  0.168  0.129
Na  0.093  0.839  0.091
P  0.248  0.411  0.880

---

3.
Computed, not measured: a geometry-optimized Sr2ZnGa structure at the PBE level of DFT.

Summary:
M_tot	0.033	μB/f.u.
space group	Fm-3m (225)
formation energy	-290	meV per atom
density	4.35	g cm⁻³

Lattice parameters (Å, degrees): 5.513 5.513 5.513 60.00 60.00 60.00
Element x y z (fractional)
Sr  0.750  0.750  0.750
Ga  0.500  0.500  0.500
Sr  0.250  0.250  0.250
Zn  0.000  0.000  0.000